## Rb2LiSbBr6 (PBE)

Data for a relaxed Rb2LiSbBr6 crystal.

## Properties
- crystal system = cubic
- space group = No. 225
- M_tot (μB/cell) = 0.00

Unit cell a=7.877 b=7.877 c=7.877 alpha=60.00 beta=60.00 gamma=60.00
Fractional coordinates of all 10 atoms:
Rb 0.750 0.750 0.750
Rb 0.250 0.250 0.250
Li 0.500 0.500 0.500
Sb 0.000 0.000 0.000
Br 0.747 0.253 0.253
Br 0.253 0.253 0.747
Br 0.253 0.747 0.747
Br 0.253 0.747 0.253
Br 0.747 0.253 0.747
Br 0.747 0.747 0.253

=====

## Rb2LiTaBr6 (PBE)

Data for a relaxed Rb2LiTaBr6 crystal.

## Properties
- crystal system = cubic
- space group = No. 225
- M_tot (μB/cell) = 2.00

Unit cell a=7.636 b=7.636 c=7.636 alpha=60.00 beta=60.00 gamma=60.00
Fractional coordinates of all 10 atoms:
Rb 0.750 0.750 0.750
Rb 0.250 0.250 0.250
Li 0.500 0.500 0.500
Ta 0.000 0.000 0.000
Br 0.756 0.244 0.244
Br 0.244 0.244 0.756
Br 0.244 0.756 0.756
Br 0.244 0.756 0.244
Br 0.756 0.244 0.756
Br 0.756 0.756 0.244

=====

## Rb2LiTlBr6 (PBE)

Data for a relaxed Rb2LiTlBr6 crystal.

## Properties
- crystal system = cubic
- space group = No. 225
- M_tot (μB/cell) = 0.00

Unit cell a=7.836 b=7.836 c=7.836 alpha=60.00 beta=60.00 gamma=60.00
Fractional coordinates of all 10 atoms:
Rb 0.750 0.750 0.750
Rb 0.250 0.250 0.250
Li 0.500 0.500 0.500
Tl 0.000 0.000 0.000
Br 0.748 0.252 0.252
Br 0.252 0.252 0.748
Br 0.252 0.748 0.748
Br 0.252 0.748 0.252
Br 0.748 0.252 0.748
Br 0.748 0.748 0.252

=====

## Rb2LiYBr6 (PBE)

Data for a relaxed Rb2LiYBr6 crystal.

## Properties
- crystal system = cubic
- space group = No. 225
- M_tot (μB/cell) = 0.00

Unit cell a=7.849 b=7.849 c=7.849 alpha=60.00 beta=60.00 gamma=60.00
Fractional coordinates of all 10 atoms:
Rb 0.750 0.750 0.750
Rb 0.250 0.250 0.250
Li 0.500 0.500 0.500
Y 0.000 0.000 0.000
Br 0.748 0.252 0.252
Br 0.252 0.252 0.748
Br 0.252 0.748 0.748
Br 0.252 0.748 0.252
Br 0.748 0.252 0.748
Br 0.748 0.748 0.252

=====

## Li2UBr6 (PBE)

Data for a relaxed Li2UBr6 crystal.

## Properties
- ΔE to the lowest computed polymorph (eV per atom) = 0.012
- crystal system = trigonal
- space group = No. 163
- M_tot (μB/cell) = 12.00

Unit cell a=6.967 b=6.967 c=41.246 alpha=90.00 beta=90.00 gamma=120.00
Fractional coordinates of all 54 atoms:
Br 0.000 0.667 0.288
Br 0.999 0.666 0.621
Br 0.000 0.666 0.954
Br 0.333 0.000 0.212
Br 0.334 0.000 0.546
Br 0.334 0.001 0.879
Br 0.000 0.333 0.212
Br 0.000 0.334 0.546
Br 0.999 0.333 0.879
Br 0.333 0.333 0.288
Br 0.334 0.333 0.621
Br 0.334 0.334 0.954
Br 0.333 0.334 0.121
Br 0.334 0.334 0.454
Br 0.333 0.333 0.788
Br 0.667 0.000 0.288
Br 0.666 0.000 0.954
Br 0.667 0.001 0.621
Br 0.334 0.000 0.046
Br 0.333 0.999 0.379
Br 0.333 0.000 0.712
Br 0.666 0.666 0.546
Br 0.667 0.667 0.212
Br 0.667 0.666 0.879
Br 0.666 0.666 0.046
Br 0.666 0.667 0.379
Br 0.667 0.667 0.712
Br 0.001 0.667 0.121
Br 0.000 0.666 0.454
Br 0.000 0.667 0.788
Br 0.666 0.999 0.121
Br 0.666 0.000 0.454
Br 0.667 0.000 0.788
Br 0.000 0.334 0.046
Br 0.001 0.334 0.379
Br 0.000 0.333 0.712
Li 0.333 0.667 0.750
Li 0.333 0.667 0.916
Li 0.333 0.667 0.584
Li 0.333 0.667 0.250
Li 0.667 0.333 0.250
Li 0.667 0.333 0.084
Li 0.667 0.333 0.416
Li 0.667 0.333 0.750
Li 0.000 0.000 0.083
Li 0.000 0.000 0.417
Li 0.000 0.000 0.583
Li 0.000 0.000 0.917
U 0.000 0.000 0.250
U 0.333 0.667 0.083
U 0.333 0.667 0.417
U 0.667 0.333 0.583
U 0.667 0.333 0.917
U 0.000 0.000 0.750

=====

## Li2UBr6 (PBE)

Data for a relaxed Li2UBr6 crystal.

## Properties
- ΔE to the lowest computed polymorph (eV per atom) = 0.000
- crystal system = trigonal
- space group = No. 162

Unit cell a=6.982 b=6.982 c=7.017 alpha=90.00 beta=90.00 gamma=120.00
Fractional coordinates of all 9 atoms:
Li 0.333 0.667 0.500
Li 0.667 0.333 0.500
U 0.000 0.000 0.500
Br 0.667 0.667 0.722
Br 0.000 0.333 0.722
Br 0.333 0.000 0.722
Br 0.333 0.333 0.278
Br 0.000 0.667 0.278
Br 0.667 0.000 0.278

=====

## Li2UBr6 (PBE)

Data for a relaxed Li2UBr6 crystal.

## Properties
- ΔE to the lowest computed polymorph (eV per atom) = 0.003
- crystal system = trigonal
- space group = No. 163
- M_tot (μB/cell) = 4.01

Unit cell a=6.967 b=6.967 c=13.581 alpha=90.00 beta=90.00 gamma=120.00
Fractional coordinates of all 18 atoms:
Li 0.000 0.000 0.750
Li 0.667 0.333 0.750
Li 0.333 0.667 0.250
Li 0.000 0.000 0.250
U 0.333 0.667 0.750
U 0.667 0.333 0.250
Br 0.998 0.330 0.634
Br 0.333 0.002 0.634
Br 0.670 0.667 0.634
Br 0.670 0.002 0.866
Br 0.333 0.330 0.866
Br 0.998 0.667 0.866
Br 0.002 0.333 0.134
Br 0.330 0.998 0.134
Br 0.667 0.670 0.134
Br 0.667 0.998 0.366
Br 0.330 0.333 0.366
Br 0.002 0.670 0.366

=====

## Li2UBr6 (PBE)

Data for a relaxed Li2UBr6 crystal.

## Properties
- ΔE to the lowest computed polymorph (eV per atom) = 0.002
- crystal system = trigonal
- space group = No. 163
- M_tot (μB/cell) = 8.00

Unit cell a=6.954 b=6.954 c=26.968 alpha=90.00 beta=90.00 gamma=120.00
Fractional coordinates of all 36 atoms:
Li 0.000 0.000 0.250
Li 0.000 0.000 0.750
Li 0.333 0.667 0.002
Li 0.333 0.667 0.498
Li 0.333 0.667 0.250
Li 0.667 0.333 0.750
Li 0.667 0.333 0.998
Li 0.667 0.333 0.502
U 0.000 0.000 0.000
U 0.000 0.000 0.500
U 0.333 0.667 0.750
U 0.667 0.333 0.250
Br 0.334 0.000 0.308
Br 0.334 0.000 0.808
Br 0.998 0.332 0.058
Br 0.002 0.334 0.558
Br 0.000 0.334 0.308
Br 0.000 0.334 0.808
Br 0.334 0.334 0.192
Br 0.334 0.334 0.692
Br 0.334 0.332 0.442
Br 0.332 0.334 0.942
Br 0.668 0.002 0.442
Br 0.334 0.002 0.058
Br 0.332 0.998 0.558
Br 0.668 0.666 0.058
Br 0.666 0.668 0.558
Br 0.666 0.666 0.308
Br 0.666 0.666 0.808
Br 0.000 0.666 0.192
Br 0.000 0.666 0.692
Br 0.998 0.666 0.442
Br 0.002 0.668 0.942
Br 0.666 0.998 0.942
Br 0.666 0.000 0.192
Br 0.666 0.000 0.692

=====

What did we get for energy of formation? Answer: -1.5931; -1.5771; -1.5268; -2.1165; -1.7912; -1.8030; -1.7997; -1.8015 eV per atom, in the order shown.